Entry 1:
KBaEuWO6 | the Materials Project database | GGA+U | optimized geometry; ΔE_f = -27.3 eV per formula unit
1.0
0.000 4.270 4.270
4.270 0.000 4.270
4.270 4.270 0.000
K Ba Eu W O
1 1 1 1 6
Direct
0.000 0.000 0.000
0.500 0.500 0.500
0.750 0.750 0.750
0.250 0.250 0.250
0.021 0.021 0.479
0.021 0.479 0.021
0.021 0.479 0.479
0.479 0.021 0.021
0.479 0.021 0.479
0.479 0.479 0.021

=====

Entry 2:
BaEu2Mn2O7 | the Materials Project database | GGA+U | optimized geometry; ΔE_f = -32.6 eV per formula unit
1.0
10.040 -2.829 0.000
10.040 2.829 0.000
0.000 0.000 5.598
Ba Eu Mn O
2 4 4 14
Direct
0.248 0.752 0.750
0.752 0.248 0.250
0.052 0.583 0.750
0.417 0.948 0.750
0.583 0.052 0.250
0.948 0.417 0.250
0.152 0.649 0.250
0.351 0.848 0.250
0.649 0.152 0.750
0.848 0.351 0.750
0.014 0.584 0.250
0.101 0.101 0.000
0.101 0.101 0.500
0.268 0.732 0.250
0.389 0.389 0.000
0.389 0.389 0.500
0.416 0.986 0.250
0.584 0.014 0.750
0.611 0.611 0.000
0.611 0.611 0.500
0.732 0.268 0.750
0.899 0.899 0.000
0.899 0.899 0.500
0.986 0.416 0.750

=====

Entry 3:
BaEu2Mn2O7 | the Materials Project database | GGA+U | optimized geometry; ΔE_f = -32.6 eV per formula unit
1.0
-1.984 1.984 10.118
1.984 -1.984 10.118
1.984 1.984 -10.118
Ba Eu Mn O
1 2 2 7
Direct
0.000 0.000 0.000
0.183 0.183 0.000
0.817 0.817 0.000
0.399 0.399 0.000
0.601 0.601 0.000
0.106 0.606 0.500
0.298 0.298 0.000
0.394 0.894 0.500
0.500 0.500 0.000
0.606 0.106 0.500
0.702 0.702 0.000
0.894 0.394 0.500

=====

Entry 4:
BaNaEuWO6 | the Materials Project database | GGA+U | optimized geometry; ΔE_f = -26.8 eV per formula unit
1.0
0.000 4.261 4.261
4.261 0.000 4.261
4.261 4.261 0.000
Ba Na Eu W O
1 1 1 1 6
Direct
0.000 0.000 0.000
0.500 0.500 0.500
0.750 0.750 0.750
0.250 0.250 0.250
0.020 0.020 0.480
0.020 0.480 0.020
0.020 0.480 0.480
0.480 0.020 0.020
0.480 0.020 0.480
0.480 0.480 0.020